P) Here is a geometry-optimized BaS5O8 structure from the Materials Project. Energies are from GGA-PBE.

Calculated values
V = 310 Å³/f.u.
Total moment = 0.286 μB/atom
Crystal system = triclinic

abc: 5.3741 10.5164 11.6760
angles: 71.69 82.47 89.38
With the nearest neighbours (Å) after each atom.
Positions (direct):
Ba  0.2461  0.2131  0.1010  9 O 2.75-2.96
Ba  0.7539  0.7869  0.8990  9 O 2.75-2.96
S  0.0858  0.3780  0.6448  2 S 2.03-2.04
S  0.2485  0.0793  0.8152  3 O 1.46-1.47
S  0.2507  0.5509  0.8173  3 O 1.45-1.48
S  0.3042  0.5402  0.6315  2 S 2.04-2.19
S  0.3124  0.2256  0.6319  2 S 2.03-2.19
S  0.6876  0.7744  0.3681  2 S 2.03-2.19
S  0.6958  0.4598  0.3685  2 S 2.04-2.19
S  0.7493  0.4491  0.1827  3 O 1.45-1.48
S  0.7515  0.9207  0.1848  3 O 1.46-1.47
S  0.9142  0.6220  0.3552  2 S 2.03-2.04
O  0.0195  0.4372  0.1527  1 S 1.46
O  0.0220  0.9491  0.1556  1 S 1.46
O  0.0953  0.1313  0.3676  1 Ba 2.96
O  0.2378  0.7579  0.9832  2 O 2.64-2.66, 2 Ba 2.81-2.88
O  0.3566  0.1410  0.8937  1 S 1.46
O  0.3574  0.4314  0.8934  1 S 1.45
O  0.3929  0.9684  0.7910  1 S 1.47
O  0.3961  0.6765  0.7953  1 S 1.48
O  0.6039  0.3235  0.2047  1 S 1.48
O  0.6071  0.0316  0.2090  1 S 1.47
O  0.6426  0.5686  0.1066  1 S 1.45
O  0.6434  0.8590  0.1063  1 S 1.46
O  0.7622  0.2421  0.0168  2 O 2.64-2.66, 2 Ba 2.81-2.88
O  0.9047  0.8687  0.6324  1 Ba 2.96
O  0.9780  0.0509  0.8444  1 S 1.46
O  0.9805  0.5628  0.8473  1 S 1.46

=====

Q) Here is a geometry-optimized BaS5O8 structure from the Materials Project. Energies are from GGA-PBE.

Calculated values
V = 314 Å³/f.u.
Total moment = 0.023 μB/atom
Crystal system = orthorhombic

abc: 5.3887 10.4688 22.2879
angles: 90.00 90.00 90.00
With the nearest neighbours (Å) after each atom.
Positions (direct):
Ba  0.2047  0.2500  0.0477  9 O 2.75-2.95
Ba  0.2953  0.7500  0.5477  9 O 2.75-2.95
Ba  0.7047  0.2500  0.4523  9 O 2.75-2.95
Ba  0.7953  0.7500  0.9523  9 O 2.75-2.95
S  0.0113  0.2500  0.6766  2 S 2.04
S  0.1876  0.5107  0.4080  3 O 1.46-1.48
S  0.1876  0.9893  0.4080  3 O 1.46-1.48
S  0.2067  0.5915  0.3176  2 S 2.04-2.19
S  0.2067  0.9085  0.3176  2 S 2.04-2.19
S  0.2933  0.0915  0.8176  2 S 2.04-2.19
S  0.2933  0.4085  0.8176  2 S 2.04-2.19
S  0.3124  0.0107  0.9080  3 O 1.46-1.48
S  0.3124  0.4893  0.9080  3 O 1.46-1.48
S  0.4887  0.7500  0.1766  2 S 2.04
S  0.5113  0.2500  0.8234  2 S 2.04
S  0.6876  0.5107  0.0920  3 O 1.46-1.48
S  0.6876  0.9893  0.0920  3 O 1.46-1.48
S  0.7067  0.5915  0.1824  2 S 2.04-2.19
S  0.7067  0.9085  0.1824  2 S 2.04-2.19
S  0.7933  0.0915  0.6824  2 S 2.04-2.19
S  0.7933  0.4085  0.6824  2 S 2.04-2.19
S  0.8124  0.0107  0.5920  3 O 1.46-1.48
S  0.8124  0.4893  0.5920  3 O 1.46-1.48
S  0.9887  0.7500  0.3234  2 S 2.04
O  0.0751  0.5053  0.5780  1 S 1.46
O  0.0751  0.9947  0.5780  1 S 1.46
O  0.1343  0.7500  0.6743  1 Ba 2.95, 2 O 3.25
O  0.1773  0.0980  0.9472  1 S 1.46
O  0.1773  0.4020  0.9472  1 S 1.46
O  0.1815  0.6105  0.8959  1 S 1.48
O  0.1815  0.8895  0.8959  1 S 1.48
O  0.2096  0.2500  0.4924  2 O 2.67, 2 Ba 2.81-2.86
O  0.2904  0.7500  0.9924  2 O 2.67, 2 Ba 2.81-2.86
O  0.3185  0.1105  0.3959  1 S 1.48
O  0.3185  0.3895  0.3959  1 S 1.48
O  0.3227  0.5980  0.4472  1 S 1.46
O  0.3227  0.9020  0.4472  1 S 1.46
O  0.3657  0.2500  0.1743  1 Ba 2.95, 2 O 3.25
O  0.4249  0.0053  0.0780  1 S 1.46
O  0.4249  0.4947  0.0780  1 S 1.46
O  0.5751  0.5053  0.9220  1 S 1.46
O  0.5751  0.9947  0.9220  1 S 1.46
O  0.6343  0.7500  0.8257  1 Ba 2.95, 2 O 3.25
O  0.6773  0.0980  0.5528  1 S 1.46
O  0.6773  0.4020  0.5528  1 S 1.46
O  0.6815  0.6105  0.6041  1 S 1.48
O  0.6815  0.8895  0.6041  1 S 1.48
O  0.7096  0.2500  0.0076  2 O 2.67, 2 Ba 2.81-2.86
O  0.7904  0.7500  0.5076  2 O 2.67, 2 Ba 2.81-2.86
O  0.8185  0.1105  0.1041  1 S 1.48
O  0.8185  0.3895  0.1041  1 S 1.48
O  0.8227  0.5980  0.0528  1 S 1.46
O  0.8227  0.9020  0.0528  1 S 1.46
O  0.8657  0.2500  0.3257  1 Ba 2.95, 2 O 3.25
O  0.9249  0.0053  0.4220  1 S 1.46
O  0.9249  0.4947  0.4220  1 S 1.46

=====

It is P) that is the most stable of them.

=====

P) Here is a geometry-optimized BaS4O8 structure from the Materials Project. Energies are from GGA-PBE.

Calculated values
V = 259 Å³/f.u.
Total moment = 0.154 μB/atom
Crystal system = monoclinic

abc: 5.5652 9.3910 19.8939
angles: 90.00 95.69 90.00
With the nearest neighbours (Å) after each atom.
Positions (direct):
Ba  0.2465  0.1031  0.1379  8 O 2.75-2.90
Ba  0.2465  0.3969  0.6379  8 O 2.75-2.90
Ba  0.7535  0.6031  0.3621  8 O 2.75-2.90
Ba  0.7535  0.8969  0.8621  8 O 2.75-2.90
S  0.1597  0.5489  0.1180  1 O 1.49
S  0.1597  0.9511  0.6180  1 O 1.49
S  0.1857  0.6917  0.2155  3 O 1.46-1.47
S  0.1857  0.8083  0.7155  3 O 1.46-1.47
S  0.3081  0.7159  0.5002  3 O 1.45-1.46
S  0.3081  0.7841  0.0002  3 O 1.45-1.46
S  0.4576  0.6240  0.0723  2 S 2.09-2.18
S  0.4576  0.8760  0.5723  2 S 2.09-2.18
S  0.5424  0.1240  0.4277  2 S 2.09-2.18
S  0.5424  0.3760  0.9277  2 S 2.09-2.18
S  0.6919  0.2159  0.9998  3 O 1.45-1.46
S  0.6919  0.2841  0.4998  3 O 1.45-1.46
S  0.8143  0.1917  0.2845  3 O 1.46-1.47
S  0.8143  0.3083  0.7845  3 O 1.46-1.47
S  0.8403  0.0489  0.3820  1 O 1.49
S  0.8403  0.4511  0.8820  1 O 1.49
O  0.0587  0.1792  0.2640  1 S 1.46
O  0.0587  0.3208  0.7640  1 S 1.46
O  0.1345  0.7147  0.9508  1 S 1.46
O  0.1345  0.7853  0.4508  1 S 1.46
O  0.2026  0.6067  0.5398  1 S 1.45
O  0.2026  0.8933  0.0398  1 S 1.45
O  0.2296  0.0944  0.6455  1 S 1.49
O  0.2296  0.4056  0.1455  1 S 1.49
O  0.2529  0.5268  0.3706  1 O 2.51
O  0.2529  0.9732  0.8706  1 O 2.51
O  0.2543  0.6671  0.6938  1 S 1.46
O  0.2543  0.8329  0.1938  1 S 1.46
O  0.3712  0.6161  0.2597  1 S 1.47
O  0.3712  0.8839  0.7597  1 S 1.47
O  0.4597  0.1810  0.0242  1 S 1.46
O  0.4597  0.3190  0.5242  1 S 1.46
O  0.5403  0.6810  0.4758  1 S 1.46
O  0.5403  0.8190  0.9758  1 S 1.46
O  0.6288  0.1161  0.2403  1 S 1.47
O  0.6288  0.3839  0.7403  1 S 1.47
O  0.7457  0.1671  0.8062  1 S 1.46
O  0.7457  0.3329  0.3062  1 S 1.46
O  0.7471  0.0268  0.1294  1 O 2.51
O  0.7471  0.4732  0.6294  1 O 2.51
O  0.7704  0.5944  0.8545  1 S 1.49
O  0.7704  0.9056  0.3545  1 S 1.49
O  0.7974  0.1067  0.9602  1 S 1.45
O  0.7974  0.3933  0.4602  1 S 1.45
O  0.8655  0.2147  0.5492  1 S 1.46
O  0.8655  0.2853  0.0492  1 S 1.46
O  0.9413  0.6792  0.2360  1 S 1.46
O  0.9413  0.8208  0.7360  1 S 1.46

=====

Q) Here is a geometry-optimized BaS4O8 structure from the Materials Project. Energies are from GGA-PBE.

Calculated values
V = 265 Å³/f.u.
Total moment = 0.000 μB/atom
Crystal system = orthorhombic

abc: 11.2564 8.5917 10.9598
angles: 90.00 90.00 90.00
With the nearest neighbours (Å) after each atom.
Positions (direct):
Ba  0.1529  0.2500  0.1207  4 O 2.70-2.71
Ba  0.3471  0.7500  0.6207  4 O 2.70-2.71
Ba  0.6529  0.2500  0.3793  4 O 2.70-2.71
Ba  0.8471  0.7500  0.8793  4 O 2.70-2.71
S  0.0603  0.0329  0.7025  2 O 1.47-1.48
S  0.0603  0.4671  0.7025  2 O 1.47-1.48
S  0.2055  0.5856  0.9189  2 O 1.57-1.72
S  0.2055  0.9144  0.9189  2 O 1.57-1.72
S  0.2945  0.0856  0.4189  2 O 1.57-1.72
S  0.2945  0.4144  0.4189  2 O 1.57-1.72
S  0.4397  0.5329  0.2025  2 O 1.47-1.48
S  0.4397  0.9671  0.2025  2 O 1.47-1.48
S  0.5603  0.0329  0.7975  2 O 1.47-1.48
S  0.5603  0.4671  0.7975  2 O 1.47-1.48
S  0.7055  0.5856  0.5811  2 O 1.57-1.72
S  0.7055  0.9144  0.5811  2 O 1.57-1.72
S  0.7945  0.0856  0.0811  2 O 1.57-1.72
S  0.7945  0.4144  0.0811  2 O 1.57-1.72
S  0.9397  0.5329  0.2975  2 O 1.47-1.48
S  0.9397  0.9671  0.2975  2 O 1.47-1.48
O  0.0474  0.0655  0.2896  1 S 1.48
O  0.0474  0.4345  0.2896  1 S 1.48
O  0.0516  0.2500  0.6850  2 S 1.88
O  0.1072  0.0359  0.8829  1 S 1.57
O  0.1072  0.4641  0.8829  1 S 1.57
O  0.1276  0.7500  0.9599  2 S 1.72
O  0.1649  0.5498  0.6540  1 S 1.47
O  0.1649  0.9502  0.6540  1 S 1.47
O  0.3351  0.0498  0.1540  1 S 1.47
O  0.3351  0.4502  0.1540  1 S 1.47
O  0.3724  0.2500  0.4599  2 S 1.72
O  0.3928  0.5359  0.3829  1 S 1.57
O  0.3928  0.9641  0.3829  1 S 1.57
O  0.4484  0.7500  0.1850  2 S 1.88
O  0.4526  0.5655  0.7896  1 S 1.48
O  0.4526  0.9345  0.7896  1 S 1.48
O  0.5474  0.0655  0.2104  1 S 1.48
O  0.5474  0.4345  0.2104  1 S 1.48
O  0.5516  0.2500  0.8150  2 S 1.88
O  0.6072  0.0359  0.6171  1 S 1.57
O  0.6072  0.4641  0.6171  1 S 1.57
O  0.6276  0.7500  0.5401  2 S 1.72
O  0.6649  0.5498  0.8460  1 S 1.47
O  0.6649  0.9502  0.8460  1 S 1.47
O  0.8351  0.0498  0.3460  1 S 1.47
O  0.8351  0.4502  0.3460  1 S 1.47
O  0.8724  0.2500  0.0401  2 S 1.72
O  0.8928  0.5359  0.1171  1 S 1.57
O  0.8928  0.9641  0.1171  1 S 1.57
O  0.9484  0.7500  0.3150  2 S 1.88
O  0.9526  0.5655  0.7104  1 S 1.48
O  0.9526  0.9345  0.7104  1 S 1.48

=====

It is P) that is the most stable of them.

=====

P) Here is a geometry-optimized BaYSnSbO6 structure from the Materials Project. Energies are from GGA-PBE.

Calculated values
V = 151 Å³/f.u.
Total moment = 0.000 μB/atom
Crystal system = orthorhombic

abc: 8.4076 8.4615 8.4682
angles: 90.00 90.00 90.00
With the nearest neighbours (Å) after each atom.
Positions (direct):
Ba  0.2500  0.2500  0.2500  8 O 2.71-2.94
Ba  0.2500  0.2500  0.7500  12 O 2.92-3.09
Ba  0.7500  0.7500  0.2500  12 O 2.92-3.09
Ba  0.7500  0.7500  0.7500  8 O 2.71-2.94
Y  0.0000  0.0000  0.0000  6 O 2.24-2.28
Y  0.0000  0.5000  0.5000  6 O 2.24-2.28
Y  0.5000  0.0000  0.5000  6 O 2.24-2.28
Y  0.5000  0.5000  0.0000  6 O 2.24-2.28
Sn  0.2500  0.7500  0.2500  4 O 2.58
Sn  0.2500  0.7500  0.7500  4 O 2.59
Sn  0.7500  0.2500  0.2500  4 O 2.59
Sn  0.7500  0.2500  0.7500  4 O 2.58
Sb  0.0000  0.0000  0.5000  6 O 2.01-2.03
Sb  0.0000  0.5000  0.0000  6 O 2.01-2.03
Sb  0.5000  0.0000  0.0000  6 O 2.01-2.03
Sb  0.5000  0.5000  0.5000  6 O 2.01-2.03
O  0.0264  0.7351  0.0416  1 Sb 2.03
O  0.0264  0.7649  0.4584  1 Sb 2.03
O  0.0274  0.5396  0.7648  1 Sb 2.03
O  0.0274  0.9604  0.7352  1 Sb 2.03
O  0.2361  0.0288  0.4816  1 Sb 2.01, 1 Y 2.24
O  0.2361  0.4712  0.0184  1 Sb 2.01, 1 Y 2.24
O  0.2639  0.0288  0.0184  1 Sb 2.01, 1 Y 2.24
O  0.2639  0.4712  0.4816  1 Sb 2.01, 1 Y 2.24
O  0.4726  0.5396  0.7352  1 Sb 2.03
O  0.4726  0.9604  0.7648  1 Sb 2.03
O  0.4736  0.7351  0.4584  1 Sb 2.03
O  0.4736  0.7649  0.0416  1 Sb 2.03
O  0.5264  0.2351  0.9584  1 Sb 2.03
O  0.5264  0.2649  0.5416  1 Sb 2.03
O  0.5274  0.0396  0.2352  1 Sb 2.03
O  0.5274  0.4604  0.2648  1 Sb 2.03
O  0.7361  0.5288  0.5184  1 Sb 2.01, 1 Y 2.24
O  0.7361  0.9712  0.9816  1 Sb 2.01, 1 Y 2.24
O  0.7639  0.5288  0.9816  1 Sb 2.01, 1 Y 2.24
O  0.7639  0.9712  0.5184  1 Sb 2.01, 1 Y 2.24
O  0.9726  0.0396  0.2648  1 Sb 2.03
O  0.9726  0.4604  0.2352  1 Sb 2.03
O  0.9736  0.2351  0.5416  1 Sb 2.03
O  0.9736  0.2649  0.9584  1 Sb 2.03

=====

Q) Here is a geometry-optimized BaYSnSbO6 structure from the Materials Project. Energies are from GGA-PBE.

Calculated values
V = 151 Å³/f.u.
Total moment = 0.000 μB/atom
Crystal system = cubic

abc: 5.9829 5.9829 5.9829
angles: 60.00 60.00 60.00
With the nearest neighbours (Å) after each atom.
Positions (direct):
Ba  0.0000  0.0000  0.0000  12 O 2.99
Y  0.2500  0.2500  0.2500  6 O 2.23
Sn  0.5000  0.5000  0.5000  12 O 2.99
Sb  0.7500  0.7500  0.7500  6 O 2.00
O  0.5134  0.5134  0.9866  1 Sb 2.00, 1 Y 2.23
O  0.5134  0.9866  0.5134  1 Sb 2.00, 1 Y 2.23
O  0.5134  0.9866  0.9866  1 Sb 2.00, 1 Y 2.23
O  0.9866  0.5134  0.5134  1 Sb 2.00, 1 Y 2.23
O  0.9866  0.5134  0.9866  1 Sb 2.00, 1 Y 2.23
O  0.9866  0.9866  0.5134  1 Sb 2.00, 1 Y 2.23

=====

It is P) that is the most stable of them.

=====

P) Here is a geometry-optimized BaSrYSbO6 structure from the Materials Project. Energies are from GGA-PBE.

Calculated values
V = 152 Å³/f.u.
Total moment = 0.000 μB/atom
Crystal system = cubic

abc: 5.9858 5.9858 5.9858
angles: 60.00 60.00 60.00
With the nearest neighbours (Å) after each atom.
Positions (direct):
Ba  0.0000  0.0000  0.0000  12 O 2.99
Sr  0.5000  0.5000  0.5000  12 O 2.99
Y  0.2500  0.2500  0.2500  6 O 2.23
Sb  0.7500  0.7500  0.7500  6 O 2.01
O  0.5131  0.5131  0.9869  1 Sb 2.01, 1 Y 2.23
O  0.5131  0.9869  0.5131  1 Sb 2.01, 1 Y 2.23
O  0.5131  0.9869  0.9869  1 Sb 2.01, 1 Y 2.23
O  0.9869  0.5131  0.5131  1 Sb 2.01, 1 Y 2.23
O  0.9869  0.5131  0.9869  1 Sb 2.01, 1 Y 2.23
O  0.9869  0.9869  0.5131  1 Sb 2.01, 1 Y 2.23

=====

Q) Here is a geometry-optimized BaSrYSbO6 structure from the Materials Project. Energies are from GGA-PBE.

Calculated values
V = 151 Å³/f.u.
Total moment = 0.000 μB/atom
Crystal system = orthorhombic

abc: 8.4470 8.4481 8.4549
angles: 90.00 90.00 90.00
With the nearest neighbours (Å) after each atom.
Positions (direct):
Ba  0.0000  0.0000  0.0000  12 O 2.99-3.03
Ba  0.0000  0.5000  0.0000  8 O 2.76-3.05
Ba  0.5000  0.0000  0.0000  8 O 2.76-3.02
Ba  0.5000  0.5000  0.5000  12 O 2.97-3.00
Sr  0.0000  0.0000  0.5000  4 O 2.66
Sr  0.0000  0.5000  0.5000  4 O 2.64
Sr  0.5000  0.0000  0.5000  4 O 2.63
Sr  0.5000  0.5000  0.0000  4 O 2.65
Y  0.2505  0.2505  0.7478  6 O 2.23-2.27
Y  0.2505  0.7495  0.2522  6 O 2.23-2.27
Y  0.7495  0.2505  0.2522  6 O 2.23-2.27
Y  0.7495  0.7495  0.7478  6 O 2.23-2.27
Sb  0.2499  0.2508  0.2533  6 O 2.01-2.03
Sb  0.2499  0.7492  0.7467  6 O 2.01-2.03
Sb  0.7501  0.2508  0.7467  6 O 2.01-2.03
Sb  0.7501  0.7492  0.2533  6 O 2.01-2.03
O  0.0131  0.2723  0.2332  1 Sb 2.02, 1 Y 2.24
O  0.0131  0.7277  0.7668  1 Sb 2.02, 1 Y 2.24
O  0.2228  0.2819  0.4875  1 Sb 2.01, 1 Y 2.23
O  0.2228  0.7181  0.5125  1 Sb 2.01, 1 Y 2.23
O  0.2245  0.0138  0.2790  1 Sb 2.03, 1 Y 2.26
O  0.2245  0.9862  0.7210  1 Sb 2.03, 1 Y 2.26
O  0.2688  0.2299  0.0152  1 Sb 2.03
O  0.2688  0.7701  0.9848  1 Sb 2.03
O  0.2818  0.4863  0.2256  1 Sb 2.02, 1 Y 2.25
O  0.2818  0.5137  0.7744  1 Sb 2.02, 1 Y 2.25
O  0.4855  0.2209  0.2809  1 Sb 2.02, 1 Y 2.26
O  0.4855  0.7791  0.7191  1 Sb 2.02, 1 Y 2.26
O  0.5145  0.2209  0.7191  1 Sb 2.02, 1 Y 2.26
O  0.5145  0.7791  0.2809  1 Sb 2.02, 1 Y 2.26
O  0.7182  0.4863  0.7744  1 Sb 2.02, 1 Y 2.25
O  0.7182  0.5137  0.2256  1 Sb 2.02, 1 Y 2.25
O  0.7312  0.2299  0.9848  1 Sb 2.03
O  0.7312  0.7701  0.0152  1 Sb 2.03
O  0.7755  0.0138  0.7210  1 Sb 2.03, 1 Y 2.26
O  0.7755  0.9862  0.2790  1 Sb 2.03, 1 Y 2.26
O  0.7772  0.2819  0.5125  1 Sb 2.01, 1 Y 2.23
O  0.7772  0.7181  0.4875  1 Sb 2.01, 1 Y 2.23
O  0.9869  0.2723  0.7668  1 Sb 2.02, 1 Y 2.24
O  0.9869  0.7277  0.2332  1 Sb 2.02, 1 Y 2.24

=====

It is Q) that is the most stable of them.